## K2Be2Si6O15 (PBE-GGA)

Data for a relaxed structure of K2Be2Si6O15.

Results
As for the energy relative to the elements: -3.147 eV/atom. The crystal system is orthorhombic.

```
data_K2Be2Si6O15
_cell_length_a 7.5919
_cell_length_b 15.5276
_cell_length_c 11.6214
_cell_angle_alpha 90.00
_cell_angle_beta 90.00
_cell_angle_gamma 90.00
_space_group_name_H-M_alt 'C m c 21'
_space_group_IT_number 36
loop_
_space_group_symop_operation_xyz
'x,y,z'
'-x,-y,z+1/2'
'-x,y,z'
'x,-y,z+1/2'
'x+1/2,y+1/2,z'
'-x+1/2,-y+1/2,z+1/2'
'-x+1/2,y+1/2,z'
'x+1/2,-y+1/2,z+1/2'
loop_
_atom_site_label
_atom_site_type_symbol
_atom_site_fract_x
_atom_site_fract_y
_atom_site_fract_z
K1 K 0.0000 0.0973 0.0000
K2 K 0.0000 0.2073 0.2757
Be1 Be 0.1515 0.3796 0.6437
Si1 Si 0.0000 0.3519 0.8794
Si2 Si 0.0000 0.4487 0.4166
Si3 Si 0.2049 0.0537 0.7282
Si4 Si 0.2090 0.2079 0.5476
O1 O 0.0000 0.0711 0.7711
O2 O 0.0000 0.2022 0.5081
O3 O 0.0000 0.3519 0.7405
O4 O 0.0000 0.4035 0.5419
O5 O 0.0000 0.4480 0.9335
O6 O 0.1774 0.4207 0.3437
O7 O 0.1797 0.3036 0.9257
O8 O 0.2264 0.0429 0.1833
O9 O 0.2352 0.2025 0.1054
O10 O 0.2462 0.3743 0.1301
```